(1)
The following is a DFT calculation (PBE-GGA) of a geometry-optimized Er4Rh structure.

Results
The energy relative to the elements is 78 meV per atom.

abc: 10.6852 10.6852 10.6852
angles: 90.00 90.00 90.00
Space group Fd-3m (No. 227, origin choice 2)
Symmetry-distinct sites (fractional):
Er  0.0140  0.0140  0.2360
Rh  0.1250  0.1250  0.6250

(2)
The following is a DFT calculation (PBE-GGA) of a geometry-optimized ErRh structure.

Results
The energy relative to the elements is -947 meV per atom.

abc: 3.3998 3.3998 3.3998
angles: 90.00 90.00 90.00
Space group Pm-3m (No. 221)
Symmetry-distinct sites (fractional):
Er  0.0000  0.0000  0.0000
Rh  0.5000  0.5000  0.5000

(3)
The following is a DFT calculation (PBE-GGA) of a geometry-optimized ErRh5 structure.

Results
The energy relative to the elements is -292 meV per atom.

abc: 5.2269 5.2269 4.3376
angles: 90.00 90.00 120.00
Space group P6/mmm (No. 191)
Symmetry-distinct sites (fractional):
Er  0.0000  0.0000  0.0000
Rh  0.0000  0.5000  0.5000
Rh  0.3333  0.6667  0.0000

(4)
The following is a DFT calculation (PBE-GGA) of a geometry-optimized ErRh2 structure.

Results
The energy relative to the elements is -759 meV per atom.

abc: 7.5295 7.5295 7.5295
angles: 90.00 90.00 90.00
Space group Fd-3m (No. 227, origin choice 2)
Symmetry-distinct sites (fractional):
Er  0.1250  0.1250  0.1250
Rh  0.0000  0.0000  0.5000